Entry 1:
The following is a PBE calculation of CaTi2O4 after structural relaxation, from the Materials Project.

Cell lengths 6.368, 6.368, 15.236 Å; angles 90.92, 90.92, 58.02 degrees
Fractional positions:
Ca1 0.000 0.000 0.000
Ca2 0.333 0.333 0.667
Ca3 0.501 0.501 0.501
Ca4 0.668 0.668 0.333
Ca5 0.829 0.829 0.161
Ca6 0.837 0.837 0.795
Ti1 0.024 0.471 0.992
Ti2 0.164 0.164 0.456
Ti3 0.164 0.673 0.332
Ti4 0.172 0.172 0.211
Ti5 0.175 0.175 0.840
Ti6 0.337 0.840 0.671
Ti7 0.471 0.024 0.992
Ti8 0.496 0.496 0.122
Ti9 0.512 0.512 0.873
Ti10 0.673 0.164 0.332
Ti11 0.840 0.337 0.671
Ti12 0.841 0.841 0.545
O1 0.004 0.452 0.752
O2 0.007 0.007 0.254
O3 0.027 0.027 0.746
O4 0.027 0.495 0.254
O5 0.158 0.158 0.582
O6 0.160 0.700 0.592
O7 0.178 0.178 0.083
O8 0.181 0.638 0.077
O9 0.311 0.843 0.412
O10 0.328 0.328 0.412
O11 0.341 0.844 0.911
O12 0.344 0.344 0.908
O13 0.452 0.004 0.752
O14 0.491 0.491 0.249
O15 0.495 0.027 0.254
O16 0.512 0.512 0.749
O17 0.638 0.181 0.077
O18 0.653 0.653 0.078
O19 0.677 0.677 0.594
O20 0.700 0.160 0.592
O21 0.814 0.814 0.939
O22 0.843 0.311 0.412
O23 0.844 0.341 0.911
O24 0.846 0.846 0.417

Results
ΔE_f in eV per atom: -3.219
Density in kg/m3: 3799
E (MP2020) in eV per cell: -360.7
Energy above the most stable polymorph in this dataset in kJ/mol of formula units: 86
Space group: No. 8

***

Entry 2:
The following is a PBE calculation of Ca2Ti3O8 after structural relaxation, from the Materials Project.

Cell lengths 6.395, 6.395, 5.096 Å; angles 107.96, 107.96, 57.16 degrees
Fractional positions:
Ca1 0.225 0.225 0.163
Ca2 0.775 0.775 0.837
Ti1 0.233 0.767 0.500
Ti2 0.500 0.500 0.000
Ti3 0.767 0.233 0.500
O1 0.104 0.104 0.453
O2 0.176 0.616 0.107
O3 0.384 0.824 0.893
O4 0.400 0.400 0.595
O5 0.600 0.600 0.405
O6 0.616 0.176 0.107
O7 0.824 0.384 0.893
O8 0.896 0.896 0.547

Results
ΔE_f in eV per atom: -3.556
Density in kg/m3: 3563
E (MP2020) in eV per cell: -113.5
Energy above the most stable polymorph in this dataset in kJ/mol of formula units: 0
Space group: No. 12

***

Entry 3:
The following is a PBE calculation of CaTiO3 after structural relaxation, from the Materials Project.

Cell lengths 3.889, 3.889, 3.889 Å; angles 90.00, 90.00, 90.00 degrees
Fractional positions:
Ca1 0.000 0.000 0.000
Ti1 0.500 0.500 0.500
O1 0.000 0.500 0.500
O2 0.500 0.000 0.500
O3 0.500 0.500 0.000

Results
ΔE_f in eV per atom: -3.492
Density in kg/m3: 3836
E (MP2020) in eV per cell: -42.2
Space group: No. 221

***

Entry 4:
The following is a PBE calculation of CaTi5O7 after structural relaxation, from the Materials Project.

Cell lengths 5.201, 5.201, 17.822 Å; angles 90.00, 90.00, 146.05 degrees
Fractional positions:
Ca1 0.208 0.792 0.750
Ca2 0.792 0.208 0.250
Ti1 0.000 0.000 0.000
Ti2 0.000 0.000 0.500
Ti3 0.285 0.715 0.069
Ti4 0.285 0.715 0.431
Ti5 0.464 0.536 0.646
Ti6 0.464 0.536 0.854
Ti7 0.536 0.464 0.146
Ti8 0.536 0.464 0.354
Ti9 0.715 0.285 0.569
Ti10 0.715 0.285 0.931
O1 0.097 0.903 0.614
O2 0.097 0.903 0.886
O3 0.176 0.824 0.168
O4 0.176 0.824 0.332
O5 0.363 0.637 0.543
O6 0.363 0.637 0.957
O7 0.472 0.528 0.250
O8 0.528 0.472 0.750
O9 0.637 0.363 0.043
O10 0.637 0.363 0.457
O11 0.824 0.176 0.668
O12 0.824 0.176 0.832
O13 0.903 0.097 0.114
O14 0.903 0.097 0.386

Results
ΔE_f in eV per atom: -3.049
Density in kg/m3: 4829
E (MP2020) in eV per cell: -231.5
Space group: No. 63

***

Entry 5:
The following is a PBE calculation of Ca2Ti9O13 after structural relaxation, from the Materials Project.

Cell lengths 5.203, 5.203, 16.717 Å; angles 98.80, 98.80, 34.07 degrees
Fractional positions:
Ca1 0.215 0.215 0.229
Ca2 0.785 0.785 0.771
Ti1 0.010 0.010 0.659
Ti2 0.070 0.070 0.885
Ti3 0.238 0.238 0.574
Ti4 0.343 0.343 0.965
Ti5 0.500 0.500 0.500
Ti6 0.657 0.657 0.035
Ti7 0.762 0.762 0.426
Ti8 0.930 0.930 0.115
Ti9 0.990 0.990 0.341
O1 0.000 0.000 0.000
O2 0.105 0.105 0.770
O3 0.121 0.121 0.453
O4 0.285 0.285 0.087
O5 0.369 0.369 0.378
O6 0.376 0.376 0.682
O7 0.426 0.426 0.859
O8 0.574 0.574 0.141
O9 0.624 0.624 0.318
O10 0.631 0.631 0.622
O11 0.715 0.715 0.913
O12 0.879 0.879 0.547
O13 0.895 0.895 0.230

Results
ΔE_f in eV per atom: -3.086
Density in kg/m3: 4771
E (MP2020) in eV per cell: -213.5
Space group: No. 12

***

Entry 6:
The following is a PBE calculation of CaTiO2 after structural relaxation, from the Materials Project.

Cell lengths 9.238, 9.238, 9.866 Å; angles 121.47, 121.47, 19.21 degrees
Fractional positions:
Ca1 0.011 0.011 0.257
Ca2 0.347 0.347 0.850
Ca3 0.653 0.653 0.150
Ca4 0.989 0.989 0.743
Ti1 0.179 0.179 0.843
Ti2 0.302 0.302 0.472
Ti3 0.698 0.698 0.528
Ti4 0.821 0.821 0.157
O1 0.167 0.167 0.351
O2 0.183 0.183 0.649
O3 0.223 0.223 0.077
O4 0.406 0.406 0.205
O5 0.594 0.594 0.795
O6 0.777 0.777 0.923
O7 0.817 0.817 0.351
O8 0.833 0.833 0.649

Results
ΔE_f in eV per atom: -2.787
Density in kg/m3: 3389
E (MP2020) in eV per cell: -123.8
Energy above the most stable polymorph in this dataset in kJ/mol of formula units: 63
Space group: No. 12

***

Entry 7:
The following is a PBE calculation of CaTiO2 after structural relaxation, from the Materials Project.

Cell lengths 2.987, 8.437, 9.041 Å; angles 90.92, 99.24, 100.19 degrees
Fractional positions:
Ca1 0.106 0.441 0.263
Ca2 0.326 0.236 0.928
Ca3 0.674 0.764 0.072
Ca4 0.894 0.559 0.737
Ti1 0.064 0.917 0.717
Ti2 0.361 0.807 0.413
Ti3 0.639 0.193 0.587
Ti4 0.936 0.083 0.283
O1 0.096 0.247 0.444
O2 0.274 0.351 0.703
O3 0.316 0.923 0.202
O4 0.463 0.230 0.185
O5 0.537 0.770 0.815
O6 0.684 0.077 0.798
O7 0.726 0.649 0.297
O8 0.904 0.753 0.556

Results
ΔE_f in eV per atom: -2.851
Density in kg/m3: 3603
E (MP2020) in eV per cell: -124.8
Energy above the most stable polymorph in this dataset in kJ/mol of formula units: 39
Space group: No. 2

***

Entry 8:
The following is a PBE calculation of CaTi2O4 after structural relaxation, from the Materials Project.

Cell lengths 6.268, 6.268, 6.268 Å; angles 121.23, 119.18, 89.65 degrees
Fractional positions:
Ca1 0.000 0.000 0.000
Ca2 0.500 0.000 0.500
Ti1 0.000 0.000 0.500
Ti2 0.000 0.500 0.000
Ti3 0.368 0.618 0.750
Ti4 0.632 0.382 0.250
O1 0.231 0.738 0.494
O2 0.237 0.254 0.517
O3 0.237 0.720 0.983
O4 0.256 0.262 0.994
O5 0.744 0.738 0.006
O6 0.763 0.280 0.017
O7 0.763 0.746 0.483
O8 0.769 0.262 0.506

Results
ΔE_f in eV per atom: -3.189
Density in kg/m3: 3825
E (MP2020) in eV per cell: -119.8
Energy above the most stable polymorph in this dataset in kJ/mol of formula units: 106
Space group: No. 74

***

Entry 9:
The following is a PBE calculation of CaTiO3 after structural relaxation, from the Materials Project.

Cell lengths 5.481, 5.481, 5.481 Å; angles 120.77, 120.77, 88.67 degrees
Fractional positions:
Ca1 0.250 0.750 0.500
Ca2 0.750 0.250 0.500
Ti1 0.000 0.000 0.000
Ti2 0.500 0.500 0.000
O1 0.191 0.691 0.882
O2 0.250 0.250 0.000
O3 0.309 0.191 0.500
O4 0.691 0.809 0.500
O5 0.750 0.750 0.000
O6 0.809 0.309 0.118

Results
ΔE_f in eV per atom: -3.538
Density in kg/m3: 3925
E (MP2020) in eV per cell: -84.9
Space group: No. 140

***

Entry 10:
The following is a PBE calculation of Ca2Ti3O8 after structural relaxation, from the Materials Project.

Cell lengths 6.093, 6.093, 10.619 Å; angles 90.00, 90.00, 120.00 degrees
Fractional positions:
Ca1 0.333 0.667 0.000
Ca2 0.333 0.667 0.404
Ca3 0.667 0.333 0.500
Ca4 0.667 0.333 0.904
Ti1 0.163 0.327 0.721
Ti2 0.163 0.837 0.721
Ti3 0.327 0.163 0.221
Ti4 0.673 0.837 0.721
Ti5 0.837 0.163 0.221
Ti6 0.837 0.673 0.221
O1 0.000 0.000 0.320
O2 0.000 0.000 0.820
O3 0.046 0.523 0.826
O4 0.157 0.313 0.132
O5 0.157 0.843 0.132
O6 0.313 0.157 0.632
O7 0.333 0.667 0.620
O8 0.477 0.523 0.826
O9 0.477 0.954 0.826
O10 0.523 0.046 0.326
O11 0.523 0.477 0.326
O12 0.667 0.333 0.120
O13 0.687 0.843 0.132
O14 0.843 0.157 0.632
O15 0.843 0.687 0.632
O16 0.954 0.477 0.326

Results
ΔE_f in eV per atom: -3.462
Density in kg/m3: 3422
E (MP2020) in eV per cell: -224.6
Energy above the most stable polymorph in this dataset in kJ/mol of formula units: 118
Space group: No. 186

***

Entry 11:
The following is a PBE calculation of CaTiO2 after structural relaxation, from the Materials Project.

Cell lengths 2.987, 8.437, 9.041 Å; angles 90.92, 99.24, 100.19 degrees
Fractional positions:
Ca1 0.047 0.441 0.263
Ca2 0.063 0.236 0.928
Ca3 0.937 0.764 0.072
Ca4 0.953 0.559 0.737
Ti1 0.332 0.193 0.587
Ti2 0.481 0.917 0.717
Ti3 0.519 0.083 0.283
Ti4 0.668 0.807 0.413
O1 0.125 0.351 0.703
O2 0.157 0.753 0.556
O3 0.193 0.230 0.185
O4 0.262 0.077 0.798
O5 0.738 0.923 0.202
O6 0.807 0.770 0.815
O7 0.843 0.247 0.444
O8 0.875 0.649 0.297

Results
ΔE_f in eV per atom: -2.487
Density in kg/m3: 3603
E (MP2020) in eV per cell: -119.0
Energy above the most stable polymorph in this dataset in kJ/mol of formula units: 179
Space group: No. 2

***

Entry 12:
The following is a PBE calculation of CaTi2O4 after structural relaxation, from the Materials Project.

Cell lengths 6.455, 6.455, 6.455 Å; angles 56.23, 56.23, 56.23 degrees
Fractional positions:
Ca1 0.000 0.000 0.000
Ca2 0.368 0.368 0.368
Ti1 0.506 0.990 0.990
Ti2 0.616 0.616 0.616
Ti3 0.990 0.506 0.990
Ti4 0.990 0.990 0.506
O1 0.229 0.229 0.229
O2 0.241 0.740 0.740
O3 0.250 0.250 0.795
O4 0.250 0.795 0.250
O5 0.736 0.736 0.736
O6 0.740 0.241 0.740
O7 0.740 0.740 0.241
O8 0.795 0.250 0.250

Results
ΔE_f in eV per atom: -3.236
Density in kg/m3: 3823
E (MP2020) in eV per cell: -120.5
Energy above the most stable polymorph in this dataset in kJ/mol of formula units: 75
Space group: No. 160